[1]
Density functional theory data (PBE with a Hubbard U) for crystalline FeCu2H21O10F8 at its relaxed geometry.

Total energy = -0.1777 Ha/atom
Formation enthalpy at 0 K = -1.505 eV/atom

Cell: 6.9577 7.3627 8.1788 Å, 107.00 107.40 95.20°
Space group P1 (No. 1)
Asymmetric unit:
Fe: 0.0000 0.0000 0.0000 x1
Cu: 0.3853 0.4413 0.7658 x1
Cu: 0.6169 0.5574 0.2341 x1
H: 0.0330 0.7489 0.4718 x1
H: 0.0903 0.3069 0.4058 x1
H: 0.1427 0.3811 0.9451 x1
H: 0.1934 0.6063 0.9861 x1
H: 0.2201 0.9174 0.3429 x1
H: 0.3292 0.7756 0.4356 x1
H: 0.3394 0.1234 0.8305 x1
H: 0.3539 0.8095 0.8352 x1
H: 0.3582 0.0752 0.6363 x1
H: 0.4332 0.2229 0.2130 x1
H: 0.5180 0.5045 0.5109 x1
H: 0.5658 0.7767 0.7873 x1
H: 0.6415 0.9225 0.3594 x1
H: 0.6440 0.1884 0.1635 x1
H: 0.6575 0.8744 0.1649 x1
H: 0.6827 0.2225 0.5667 x1
H: 0.7837 0.0728 0.6524 x1
H: 0.8060 0.3922 0.0128 x1
H: 0.8556 0.6177 0.0538 x1
H: 0.9153 0.6941 0.5937 x1
H: 0.9744 0.2483 0.5270 x1
O: 0.0918 0.3370 0.5307 x1
O: 0.2510 0.8814 0.4528 x1
O: 0.2534 0.4880 0.9582 x1
O: 0.4120 0.1779 0.7616 x1
O: 0.4329 0.7135 0.7884 x1
O: 0.5665 0.2851 0.2116 x1
O: 0.5856 0.8200 0.2341 x1
O: 0.7456 0.5104 0.0411 x1
O: 0.7554 0.1133 0.5446 x1
O: 0.9121 0.6651 0.4683 x1
F: 0.0360 0.7564 0.0508 x1
F: 0.2090 0.9654 0.8816 x1
F: 0.2198 0.1362 0.2309 x1
F: 0.4564 0.5840 0.4067 x1
F: 0.5735 0.4258 0.6120 x1
F: 0.7804 0.8646 0.7691 x1
F: 0.7909 0.0345 0.1176 x1
F: 0.9633 0.2434 0.9491 x1

---

[2]
Density functional theory data (PBE with a Hubbard U) for crystalline Na2FeCuF7 at its relaxed geometry.

Energy relative to the lowest polymorph listed for this composition = 0.002 eV per atom
Total energy = -0.1714 Ha/atom
Formation enthalpy at 0 K = -2.562 eV/atom

Cell: 12.6262 7.4315 24.9334 Å, 90.00 99.08 90.00°
Space group C2/c (No. 15)
Asymmetric unit:
Na: 0.0000 0.0000 0.0000 x4
Na: 0.0000 0.2210 0.2500 x4
Na: 0.0000 0.5000 0.0000 x4
Na: 0.1265 0.0060 0.3770 x8
Na: 0.2464 0.4639 0.2470 x8
Na: 0.2500 0.2500 0.0000 x4
Fe: 0.0000 0.2502 0.7500 x4
Fe: 0.1267 0.2378 0.1254 x8
Fe: 0.2500 0.2500 0.5000 x4
Cu: 0.1227 0.4913 0.3726 x8
Cu: 0.1259 0.2596 0.6257 x8
F: 0.0177 0.2897 0.3580 x8
F: 0.0213 0.3409 0.8971 x8
F: 0.0655 0.0020 0.6104 x8
F: 0.0835 0.0571 0.7899 x8
F: 0.0848 0.4485 0.7884 x8
F: 0.0907 0.2727 0.0457 x8
F: 0.1149 0.2522 0.7052 x8
F: 0.1376 0.2695 0.5460 x8
F: 0.1587 0.4221 0.4557 x8
F: 0.1635 0.1992 0.2048 x8
F: 0.1690 0.0372 0.4672 x8
F: 0.1848 0.4800 0.1396 x8
F: 0.2251 0.3171 0.3511 x8
F: 0.2284 0.3113 0.8898 x8

---

[3]
Density functional theory data (PBE with a Hubbard U) for crystalline Na2FeCuF7 at its relaxed geometry.

Energy relative to the lowest polymorph listed for this composition = 0.000 eV per atom
Total energy = -0.1715 Ha/atom
Formation enthalpy at 0 K = -2.564 eV/atom

Cell: 12.5958 7.4638 13.1035 Å, 90.00 109.68 90.00°
Space group C2/c (No. 15)
Asymmetric unit:
Na: 0.0000 0.0000 0.0000 x4
Na: 0.0000 0.2286 0.2500 x4
Na: 0.2466 0.4609 0.2457 x8
Fe: 0.0000 0.2426 0.7500 x4
Fe: 0.2500 0.2500 0.5000 x4
Cu: 0.0000 0.5000 0.0000 x4
Cu: 0.2500 0.2500 0.0000 x4
F: 0.0481 0.0492 0.6742 x8
F: 0.0527 0.4335 0.6774 x8
F: 0.0879 0.3087 0.4650 x8
F: 0.1261 0.3324 0.0492 x8
F: 0.1584 0.2366 0.8480 x8
F: 0.2031 0.0150 0.5315 x8
F: 0.2075 0.2055 0.3421 x8

---

[4]
Density functional theory data (PBE with a Hubbard U) for crystalline Rb2FeCuF6 at its relaxed geometry.

Total energy = -0.1704 Ha/atom
Formation enthalpy at 0 K = -2.538 eV/atom

Cell: 8.4514 8.4514 8.4514 Å, 90.00 90.00 90.00°
Space group Fm-3m (No. 225)
Asymmetric unit:
Rb: 0.2500 0.2500 0.2500 x8
Fe: 0.0000 0.0000 0.0000 x4
Cu: 0.0000 0.0000 0.5000 x4
F: 0.0000 0.0000 0.2381 x24

---

[5]
Density functional theory data (PBE with a Hubbard U) for crystalline Li2MnCuF6 at its relaxed geometry.

Total energy = -0.1785 Ha/atom
Formation enthalpy at 0 K = -2.444 eV/atom

Cell: 8.0996 8.0996 8.0996 Å, 90.00 90.00 90.00°
Space group Fm-3m (No. 225)
Asymmetric unit:
Li: 0.2500 0.2500 0.2500 x8
Mn: 0.0000 0.0000 0.0000 x4
Cu: 0.0000 0.0000 0.5000 x4
F: 0.0000 0.0000 0.2467 x24

---

[6]
Density functional theory data (PBE with a Hubbard U) for crystalline Li2CuNiF6 at its relaxed geometry.

Total energy = -0.1563 Ha/atom
Formation enthalpy at 0 K = -2.267 eV/atom

Cell: 7.9090 7.9090 7.9090 Å, 90.00 90.00 90.00°
Space group Fm-3m (No. 225)
Asymmetric unit:
Li: 0.2500 0.2500 0.2500 x8
Cu: 0.0000 0.0000 0.0000 x4
Ni: 0.0000 0.0000 0.5000 x4
F: 0.0000 0.0000 0.2535 x24

---

[7]
Density functional theory data (PBE with a Hubbard U) for crystalline MnCuF6 at its relaxed geometry.

Total energy = -0.1752 Ha/atom
Formation enthalpy at 0 K = -2.229 eV/atom

Cell: 4.9993 5.1023 5.2970 Å, 117.86 90.02 119.31°
Space group P-1 (No. 2)
Asymmetric unit:
Mn: 0.0000 0.0000 0.0000 x1
Cu: 0.5000 0.0000 0.5000 x1
F: 0.1254 0.8804 0.2404 x2
F: 0.2422 0.8822 0.7541 x2
F: 0.3504 0.4610 0.2327 x2

---

[8]
Density functional theory data (PBE with a Hubbard U) for crystalline Rb2MnCuF6 at its relaxed geometry.

Total energy = -0.1797 Ha/atom
Formation enthalpy at 0 K = -2.664 eV/atom

Cell: 8.4173 8.4173 8.4173 Å, 90.00 90.00 90.00°
Space group Fm-3m (No. 225)
Asymmetric unit:
Rb: 0.2500 0.2500 0.2500 x8
Mn: 0.0000 0.0000 0.0000 x4
Cu: 0.0000 0.0000 0.5000 x4
F: 0.0000 0.0000 0.2435 x24

---

[9]
Density functional theory data (PBE with a Hubbard U) for crystalline Cu3NiF6 at its relaxed geometry.

Energy relative to the lowest polymorph listed for this composition = 0.000 eV per atom
Total energy = -0.1494 Ha/atom
Formation enthalpy at 0 K = -1.640 eV/atom

Cell: 5.2689 6.1558 6.8224 Å, 87.14 69.58 67.65°
Space group P-1 (No. 2)
Asymmetric unit:
Cu: 0.0000 0.0000 0.0000 x1
Cu: 0.0000 0.5000 0.5000 x1
Cu: 0.5000 0.0000 0.0000 x1
Ni: 0.5000 0.5000 0.0000 x1
F: 0.1301 0.6853 0.9455 x2
F: 0.2887 0.3586 0.2501 x2
F: 0.4370 0.7800 0.1803 x2

---

[10]
Density functional theory data (PBE with a Hubbard U) for crystalline Cu3NiF6 at its relaxed geometry.

Energy relative to the lowest polymorph listed for this composition = 0.200 eV per atom
Total energy = -0.1421 Ha/atom
Formation enthalpy at 0 K = -1.440 eV/atom

Cell: 5.3150 6.6590 12.9540 Å, 85.89 82.94 67.77°
Space group P-1 (No. 2)
Asymmetric unit:
Cu: 0.0000 0.0000 0.0000 x1
Cu: 0.0000 0.5000 0.5000 x1
Cu: 0.5000 0.0000 0.0000 x1
Ni: 0.0000 0.5000 0.0000 x1
F: 0.0358 0.5199 0.3643 x2
F: 0.1220 0.7134 0.0447 x2
F: 0.3166 0.2728 0.0501 x2

---

[11]
Density functional theory data (PBE with a Hubbard U) for crystalline Rb2CuNiF6 at its relaxed geometry.

Total energy = -0.1561 Ha/atom
Formation enthalpy at 0 K = -2.447 eV/atom

Cell: 8.2626 8.2626 8.2626 Å, 90.00 90.00 90.00°
Space group Fm-3m (No. 225)
Asymmetric unit:
Rb: 0.2500 0.2500 0.2500 x8
Cu: 0.0000 0.0000 0.0000 x4
Ni: 0.0000 0.0000 0.5000 x4
F: 0.0000 0.0000 0.2551 x24

---

[12]
Density functional theory data (PBE with a Hubbard U) for crystalline CuWO3F2 at its relaxed geometry.

Total energy = -0.2234 Ha/atom
Formation enthalpy at 0 K = -2.036 eV/atom

Cell: 3.7848 9.8115 5.2848 Å, 90.00 105.73 90.00°
Space group P2_1/m (No. 11)
Asymmetric unit:
Cu: 0.0000 0.0000 0.0000 x2
W: 0.2081 0.2500 0.5274 x2
O: 0.1204 0.1091 0.3018 x4
O: 0.2653 0.7500 0.3982 x2
F: 0.3326 0.1120 0.8483 x4